Density functional theory data (PBE) for crystalline BaMn2As2 at its relaxed geometry.

abc: 4.1199 7.3078 8.2413
angles: 106.87 90.00 73.60
Last column: nearest neighbours and their distance in Å.
Sites, in units of the cell vectors:
1 Mn 0.2513 0.4972 0.1329  4 As 2.47-2.54
2 Ba 0.0000 0.0000 0.5000  8 As 3.47-3.48, 2 Mn 3.89
3 As 0.6413 0.7161 0.6766  4 Mn 2.47-2.54
4 Ba 0.0000 0.0000 0.0000  8 As 3.47-3.48, 2 Mn 3.89
5 As 0.3587 0.2838 0.8233  4 Mn 2.47-2.54
6 Mn 0.2512 0.4973 0.6330  4 As 2.47-2.54
7 As 0.6414 0.7162 0.1767  4 Mn 2.47-2.54
8 As 0.3587 0.2839 0.3234  4 Mn 2.47-2.54
9 Mn 0.7487 0.5028 0.8672  4 As 2.47-2.54
10 Mn 0.7488 0.5027 0.3670  4 As 2.47-2.54

Computed properties:
The calculated total energy comes out at -65.10 eV for the cell shown.

***

Density functional theory data (PBE) for crystalline Li3Be at its relaxed geometry.

abc: 5.5063 5.5063 4.5281
angles: 90.00 90.00 120.00
Last column: nearest neighbours and their distance in Å.
Sites, in units of the cell vectors:
1 Li 0.1739 0.3478 0.2500  8 Li 2.63-2.87, 4 Be 2.73-2.75
2 Li 0.1739 0.8261 0.2500  8 Li 2.63-2.87, 4 Be 2.73-2.75
3 Li 0.3478 0.1739 0.7500  8 Li 2.63-2.87, 4 Be 2.73-2.75
4 Li 0.6522 0.8261 0.2500  8 Li 2.63-2.87, 4 Be 2.73-2.75
5 Li 0.8261 0.1739 0.7500  8 Li 2.63-2.87, 4 Be 2.73-2.75
6 Li 0.8261 0.6522 0.7500  8 Li 2.63-2.87, 4 Be 2.73-2.75
7 Be 0.3333 0.6667 0.7500  12 Li 2.73-2.75
8 Be 0.6667 0.3333 0.2500  12 Li 2.73-2.75

Computed properties:
The space-group type is No. 194. The calculated total energy comes out at -16.97 eV for the cell shown. As for the crystal system: hexagonal.